Material: Na6Ca3HfP4S2O24
Method: DFT, PBE
State: optimized geometry

Values from the calculation:
E_tot = -267.9 eV per formula unit

Lattice parameters (Å, degrees): 9.2841 9.2990 23.2579 90.10 90.01 119.85
Fractional coordinates of all 120 atoms:
O (0.2205, 0.2116, 0.8063)
O (0.8562, 0.3588, 0.9216)
O (0.7724, 0.7843, 0.1964)
O (0.0992, 0.6204, 0.3712)
O (0.5327, 0.8993, 0.3690)
O (0.6488, 0.5321, 0.6387)
O (0.4637, 0.1442, 0.5306)
O (0.6681, 0.5226, 0.2498)
O (0.9787, 0.7995, 0.4141)
O (0.3139, 0.4951, 0.7622)
O (0.1836, 0.1910, 0.4122)
O (0.5146, 0.6535, 0.5784)
O (0.4709, 0.3485, 0.1371)
O (0.4667, 0.1139, 0.6338)
O (0.5708, 0.8788, 0.4768)
O (0.6723, 0.5225, 0.5309)
O (0.1292, 0.4461, 0.9738)
O (0.2131, 0.0161, 0.2964)
O (0.8463, 0.5217, 0.0272)
O (0.8102, 0.0138, 0.7988)
O (0.5569, 0.6789, 0.9757)
O (0.8207, 0.0057, 0.4142)
O (0.9859, 0.7841, 0.7986)
O (0.1987, 0.0082, 0.9114)
O (0.3229, 0.8872, 0.9779)
O (0.7433, 0.9458, 0.6935)
O (0.3562, 0.4890, 0.0775)
O (0.2155, 0.9882, 0.1923)
O (0.1597, 0.6756, 0.7598)
O (0.5178, 0.6719, 0.2508)
O (0.2018, 0.1720, 0.0797)
O (0.8044, 0.8016, 0.9101)
O (0.5080, 0.1490, 0.9216)
O (0.8815, 0.3489, 0.6391)
O (0.3150, 0.4440, 0.4723)
O (0.4994, 0.3451, 0.4280)
O (0.8408, 0.4944, 0.4276)
O (0.4695, 0.1584, 0.2473)
O (0.2035, 0.2475, 0.6978)
O (0.6749, 0.1486, 0.7479)
O (0.5124, 0.8312, 0.7645)
O (0.6469, 0.1189, 0.1333)
O (0.3255, 0.8538, 0.2511)
O (0.0356, 0.7877, 0.6957)
O (0.1633, 0.4683, 0.2516)
O (0.6256, 0.4864, 0.9206)
O (0.1141, 0.6850, 0.4784)
O (0.1284, 0.4912, 0.8659)
O (0.7842, 0.7801, 0.3015)
O (0.8335, 0.7977, 0.5813)
O (0.8477, 0.3244, 0.5313)
O (0.1362, 0.4905, 0.5783)
O (0.9598, 0.7931, 0.0799)
O (0.8620, 0.5267, 0.7476)
O (0.4884, 0.3588, 0.7502)
O (0.3807, 0.4735, 0.3646)
O (0.8809, 0.5216, 0.1340)
O (0.3583, 0.8698, 0.8702)
O (0.8235, 0.0343, 0.0820)
O (0.2062, 0.0296, 0.5826)
O (0.5219, 0.8761, 0.0758)
O (0.1371, 0.6540, 0.0764)
O (0.0158, 0.2186, 0.1970)
O (0.5067, 0.6376, 0.8679)
O (0.6825, 0.1507, 0.0296)
O (0.4787, 0.3222, 0.0286)
O (0.9953, 0.2075, 0.3019)
O (0.8578, 0.3255, 0.2490)
O (0.3512, 0.8711, 0.5760)
O (0.0178, 0.2029, 0.9096)
O (0.9738, 0.1730, 0.5811)
O (0.6665, 0.1596, 0.4283)
Na (0.0488, 0.3475, 0.0801)
Na (0.0256, 0.6884, 0.5776)
Na (0.6645, 0.3162, 0.3315)
Na (0.2968, 0.3469, 0.5825)
Na (0.9925, 0.3419, 0.7497)
Na (0.6595, 0.6861, 0.0797)
Na (0.3170, 0.2954, 0.9109)
Na (0.0033, 0.9993, 0.4924)
Na (0.9849, 0.3061, 0.4139)
Na (0.3221, 0.6693, 0.1720)
Na (0.2880, 0.9602, 0.0773)
Na (0.9947, 0.9844, 0.9898)
Na (0.6739, 0.9581, 0.5800)
Na (0.6887, 0.6768, 0.4142)
Na (0.6522, 0.3033, 0.8301)
Na (0.6403, 0.6429, 0.7458)
Na (0.3647, 0.3653, 0.2536)
Na (0.3396, 0.6663, 0.6672)
Ca (0.9989, 0.9937, 0.1494)
Ca (0.3325, 0.6693, 0.0122)
Ca (0.9976, 0.9979, 0.8506)
Ca (0.0041, 0.9942, 0.3501)
Ca (0.3335, 0.6794, 0.3241)
Ca (0.6749, 0.3386, 0.1839)
Ca (0.3335, 0.6687, 0.5099)
Ca (0.6584, 0.3269, 0.6853)
Ca (0.9956, 0.0060, 0.6551)
P (0.0185, 0.6587, 0.4222)
P (0.6429, 0.9800, 0.4212)
P (0.3402, 0.3620, 0.4185)
P (0.3754, 0.3328, 0.0815)
P (0.6301, 0.6604, 0.9194)
P (0.9581, 0.6244, 0.0802)
P (0.0319, 0.3727, 0.9183)
P (0.9615, 0.3343, 0.5834)
P (0.3427, 0.9741, 0.9209)
P (0.6678, 0.6290, 0.5832)
P (0.3058, 0.3194, 0.7541)
P (0.6875, 0.9894, 0.7513)
S (0.3053, 0.0013, 0.2470)
S (0.6884, 0.6930, 0.2497)
S (0.3722, 0.0392, 0.5814)
S (0.0053, 0.3043, 0.2501)
S (0.0109, 0.6974, 0.7505)
S (0.6676, 0.0451, 0.0805)
Hf (0.6711, 0.3410, 0.9767)
Hf (0.3372, 0.6742, 0.8240)
Hf (0.6670, 0.3339, 0.4824)